Computed, not measured: an optimized crystal structure of PrMo6S8 at the PBE level of DFT.

Cell and atoms, written as POSCAR:
```
PrMo6S8
1.0
4.684 -4.593 0.000
4.684 4.593 0.000
0.181 0.000 6.557
S Mo Pr
8 6 1
Direct
0.749 0.376 0.126
0.624 0.874 0.251
0.126 0.749 0.376
0.376 0.126 0.749
0.244 0.244 0.244
0.251 0.624 0.874
0.756 0.756 0.756
0.874 0.251 0.624
0.773 0.581 0.437
0.419 0.563 0.227
0.581 0.437 0.773
0.227 0.419 0.563
0.437 0.773 0.581
0.563 0.227 0.419
0.000 0.000 0.000
```

Properties
Density ... 5.727 g/cm3
E_form ... -1.182 eV/atom

=====

Computed, not measured: an optimized crystal structure of Pr5Mo36Se48 at the PBE level of DFT.

Cell and atoms, written as POSCAR:
```
Pr5Mo36Se48
1.0
-4.156 1.148 -5.296
-40.810 -69.439 14.611
-7.843 -2.514 5.226
Pr Se Mo
10 96 72
Direct
0.000 0.250 0.001
0.000 0.583 0.000
0.000 0.500 0.000
0.000 0.833 0.000
0.000 0.083 0.000
0.000 0.750 0.000
0.000 0.417 0.000
0.000 0.667 0.000
0.000 0.917 0.999
0.000 0.333 0.000
0.759 0.333 0.758
0.241 0.833 0.242
0.624 0.386 0.246
0.376 0.281 0.755
0.245 0.312 0.878
0.758 0.583 0.758
0.377 0.114 0.756
0.754 0.438 0.122
0.242 0.083 0.243
0.754 0.605 0.122
0.763 0.000 0.763
0.878 0.469 0.624
0.122 0.781 0.376
0.624 0.636 0.246
0.376 0.531 0.754
0.878 0.135 0.621
0.123 0.115 0.377
0.623 0.219 0.245
0.122 0.198 0.379
0.750 0.188 0.123
0.246 0.645 0.878
0.878 0.302 0.624
0.242 0.500 0.242
0.122 0.948 0.376
0.623 0.969 0.249
0.122 0.615 0.376
0.756 0.938 0.123
0.244 0.062 0.878
0.622 0.136 0.249
0.754 0.271 0.121
0.878 0.552 0.624
0.759 0.833 0.758
0.624 0.469 0.246
0.758 0.083 0.757
0.877 0.052 0.623
0.122 0.698 0.376
0.242 0.417 0.242
0.758 0.417 0.758
0.242 0.917 0.242
0.623 0.303 0.246
0.250 0.979 0.876
0.878 0.885 0.623
0.246 0.812 0.878
0.122 0.282 0.377
0.242 0.583 0.242
0.122 0.365 0.376
0.246 0.479 0.878
0.242 0.750 0.242
0.376 0.781 0.755
0.754 0.355 0.122
0.237 0.000 0.237
0.241 0.333 0.242
0.376 0.447 0.754
0.758 0.667 0.758
0.754 0.688 0.122
0.377 0.864 0.754
0.878 0.635 0.624
0.246 0.562 0.878
0.122 0.448 0.376
0.623 0.053 0.244
0.122 0.532 0.376
0.878 0.385 0.624
0.754 0.521 0.122
0.763 0.167 0.763
0.122 0.865 0.376
0.624 0.803 0.246
0.878 0.969 0.621
0.878 0.802 0.624
0.624 0.886 0.245
0.758 0.500 0.758
0.754 0.771 0.122
0.377 0.198 0.751
0.242 0.250 0.242
0.624 0.719 0.246
0.378 0.031 0.751
0.246 0.395 0.878
0.245 0.895 0.879
0.376 0.364 0.754
0.376 0.614 0.754
0.758 0.750 0.758
0.122 0.031 0.379
0.246 0.729 0.878
0.755 0.855 0.122
0.242 0.667 0.242
0.878 0.719 0.624
0.237 0.167 0.237
0.758 0.250 0.758
0.758 0.917 0.758
0.244 0.229 0.877
0.750 0.021 0.124
0.878 0.219 0.624
0.377 0.947 0.755
0.376 0.697 0.754
0.624 0.553 0.246
0.756 0.105 0.122
0.250 0.145 0.877
0.578 0.056 0.763
0.765 0.345 0.439
0.577 0.723 0.764
0.440 0.349 0.577
0.236 0.572 0.561
0.561 0.734 0.423
0.764 0.678 0.439
0.561 0.568 0.423
0.423 0.860 0.236
0.236 0.655 0.561
0.561 0.651 0.423
0.577 0.640 0.764
0.236 0.405 0.561
0.424 0.193 0.235
0.563 0.234 0.425
0.577 0.390 0.764
0.423 0.527 0.236
0.578 0.223 0.763
0.765 0.928 0.439
0.561 0.318 0.423
0.576 0.140 0.765
0.423 0.610 0.236
0.438 0.099 0.575
0.577 0.306 0.764
0.577 0.806 0.764
0.423 0.444 0.236
0.764 0.011 0.442
0.577 0.473 0.764
0.439 0.766 0.577
0.423 0.277 0.236
0.560 0.818 0.423
0.443 0.182 0.579
0.234 0.072 0.560
0.764 0.761 0.439
0.562 0.068 0.425
0.439 0.432 0.577
0.424 0.027 0.235
0.235 0.822 0.561
0.439 0.516 0.577
0.236 0.739 0.561
0.765 0.261 0.439
0.422 0.944 0.237
0.560 0.901 0.423
0.422 0.110 0.237
0.440 0.266 0.577
0.764 0.512 0.439
0.423 0.777 0.236
0.577 0.890 0.764
0.235 0.905 0.561
0.439 0.682 0.577
0.439 0.849 0.577
0.576 0.973 0.765
0.235 0.238 0.561
0.765 0.845 0.439
0.423 0.360 0.236
0.236 0.155 0.558
0.439 0.599 0.577
0.236 0.322 0.561
0.561 0.484 0.423
0.236 0.989 0.558
0.764 0.595 0.439
0.766 0.095 0.440
0.577 0.556 0.764
0.561 0.401 0.423
0.557 0.985 0.421
0.236 0.488 0.561
0.423 0.694 0.236
0.437 0.932 0.575
0.443 0.015 0.578
0.557 0.151 0.422
0.764 0.428 0.439
0.764 0.178 0.442
```

Properties
Density ... 6.929 g/cm3
E_form ... -0.938 eV/atom

=====

Computed, not measured: an optimized crystal structure of PrMo6Se8 at the PBE level of DFT.

Cell and atoms, written as POSCAR:
```
PrMo6Se8
1.0
4.881 -4.790 0.000
4.881 4.790 0.000
0.180 0.000 6.837
Mo Se Pr
6 8 1
Direct
0.422 0.561 0.237
0.237 0.422 0.561
0.561 0.237 0.422
0.763 0.578 0.439
0.439 0.763 0.578
0.578 0.439 0.763
0.752 0.378 0.121
0.248 0.622 0.879
0.622 0.879 0.248
0.378 0.121 0.752
0.241 0.241 0.241
0.879 0.248 0.622
0.759 0.759 0.759
0.121 0.752 0.378
0.000 0.000 0.000
```

Properties
Density ... 7.003 g/cm3
E_form ... -0.970 eV/atom

=====

Computed, not measured: an optimized crystal structure of Mo3Pt at the PBE level of DFT.

Cell and atoms, written as POSCAR:
```
Mo3Pt
1.0
-0.328 4.892 1.083
-1.784 0.901 -4.607
-4.682 -0.686 1.679
Pt Mo
2 6
Direct
0.500 0.500 0.500
0.000 0.000 0.000
0.000 0.500 0.750
0.250 0.000 0.500
0.000 0.500 0.250
0.750 0.000 0.500
0.500 0.750 0.000
0.500 0.250 0.000
```

Properties
Density ... 12.666 g/cm3
E_form ... -0.112 eV/atom

=====

- Among the records above, which one has the highest density?
  Mo3Pt